[1]
{"formula": "Na5CaHf3SiP5O24", "functional": "GGA-PBE", "state": "optimized geometry", "energy_ev_per_cell": -883.2, "sg": "No. 1", "magmom_total_mub_per_cell": 0.000, "lattice_angstrom": [[-7.8035, 2.4794, 3.9787], [2.8406, -8.5813, 0.5872], [11.4990, 5.0922, 19.2052]], "species": ["Na", "Na", "Na", "Na", "Na", "Na", "Na", "Na", "Na", "Na", "Na", "Na", "Na", "Na", "Na", "O", "O", "O", "O", "O", "O", "O", "O", "O", "O", "O", "O", "O", "O", "O", "O", "O", "O", "O", "O", "O", "O", "O", "O", "O", "O", "O", "O", "O", "O", "O", "O", "O", "O", "O", "O", "O", "O", "O", "O", "O", "O", "O", "O", "O", "O", "O", "O", "O", "O", "O", "O", "O", "O", "O", "O", "O", "O", "O", "O", "O", "O", "O", "O", "O", "O", "O", "O", "O", "O", "O", "O", "P", "P", "P", "P", "P", "P", "P", "P", "P", "P", "P", "P", "P", "P", "P", "Hf", "Hf", "Hf", "Hf", "Hf", "Hf", "Hf", "Hf", "Hf", "Si", "Si", "Si", "Ca", "Ca", "Ca"], "fractional_positions": [[0.6453, 0.0134, 0.2440], [0.6592, 0.9758, 0.5839], [0.3691, 0.3557, 0.2440], [0.9907, 0.3656, 0.7481], [0.3246, 0.0321, 0.4146], [0.3336, 0.6677, 0.1586], [0.3330, 0.3064, 0.9224], [0.9870, 0.6328, 0.2444], [0.3235, 0.6638, 0.6610], [0.0006, 0.0006, 0.4947], [0.6344, 0.6259, 0.7478], [0.6784, 0.3442, 0.3314], [0.6792, 0.3371, 0.8394], [0.9852, 0.9904, 0.0028], [0.3780, 0.0109, 0.7439], [0.3030, 0.8262, 0.2562], [0.6886, 0.1543, 0.0332], [0.1739, 0.4761, 0.2556], [0.9741, 0.1909, 0.3040], [0.6248, 0.1357, 0.4234], [0.4626, 0.3139, 0.7492], [0.1814, 0.0184, 0.5878], [0.8462, 0.5361, 0.0329], [0.3300, 0.4773, 0.4694], [0.1960, 0.1826, 0.8064], [0.3070, 0.8449, 0.9682], [0.5085, 0.6331, 0.8576], [0.0324, 0.1922, 0.9088], [0.8137, 0.8272, 0.9098], [0.7906, 0.9705, 0.6944], [0.5249, 0.6985, 0.2562], [0.9677, 0.1622, 0.5884], [0.4697, 0.1589, 0.5274], [0.5106, 0.8535, 0.0722], [0.1716, 0.2005, 0.6980], [0.1850, 0.1677, 0.0876], [0.8551, 0.3302, 0.2436], [0.8241, 0.0102, 0.8027], [0.9900, 0.8103, 0.8042], [0.1261, 0.6391, 0.3609], [0.6369, 0.0909, 0.1422], [0.1672, 0.4692, 0.9688], [0.5085, 0.8716, 0.3637], [0.5301, 0.8317, 0.7563], [0.9084, 0.3695, 0.6422], [0.1925, 0.1986, 0.4177], [0.6703, 0.5247, 0.2434], [0.0275, 0.8260, 0.6965], [0.6926, 0.1548, 0.7508], [0.2971, 0.4706, 0.7551], [0.1801, 0.9853, 0.9083], [0.8506, 0.5383, 0.7493], [0.7939, 0.9797, 0.4194], [0.4729, 0.1465, 0.2446], [0.3484, 0.8455, 0.5718], [0.4570, 0.3617, 0.1400], [0.4738, 0.0903, 0.6432], [0.6345, 0.5424, 0.6420], [0.1545, 0.6716, 0.4689], [0.6303, 0.4856, 0.9247], [0.0350, 0.8234, 0.4172], [0.6931, 0.5380, 0.5331], [0.8303, 0.0169, 0.0876], [0.8103, 0.7821, 0.3041], [0.1720, 0.9692, 0.1995], [0.7921, 0.8254, 0.1966], [0.3397, 0.4883, 0.0728], [0.3603, 0.8780, 0.8600], [0.1730, 0.7048, 0.7550], [0.1226, 0.4875, 0.8561], [0.0321, 0.2079, 0.1964], [0.5213, 0.8516, 0.4723], [0.1448, 0.4803, 0.5717], [0.3581, 0.4822, 0.3612], [0.8490, 0.3502, 0.9245], [0.9113, 0.5452, 0.1417], [0.5152, 0.6631, 0.5721], [0.8399, 0.3063, 0.5337], [0.5087, 0.3670, 0.4226], [0.2213, 0.0236, 0.3084], [0.4574, 0.3090, 0.0296], [0.9821, 0.8145, 0.0878], [0.8250, 0.8171, 0.5880], [0.5301, 0.6928, 0.9705], [0.8638, 0.4971, 0.4238], [0.4911, 0.1407, 0.9240], [0.1480, 0.6619, 0.0711], [0.6667, 0.6340, 0.5841], [0.3361, 0.9605, 0.9166], [0.7097, 0.9944, 0.7507], [0.3431, 0.3788, 0.4178], [0.0043, 0.2972, 0.2502], [0.2923, 0.9960, 0.2523], [0.0074, 0.7168, 0.7515], [0.9654, 0.3338, 0.5843], [0.6653, 0.0302, 0.0840], [0.6197, 0.9602, 0.4195], [0.9712, 0.6369, 0.0839], [0.2839, 0.2907, 0.7524], [0.7035, 0.7076, 0.2503], [0.0399, 0.6580, 0.4174], [0.3636, 0.3324, 0.0826], [0.3348, 0.6649, 0.0169], [0.3330, 0.6642, 0.3163], [0.3282, 0.6608, 0.5185], [0.9925, 0.9946, 0.8582], [0.6766, 0.3375, 0.9834], [0.9995, 0.0011, 0.1450], [0.0094, 0.0008, 0.6436], [0.3317, 0.6647, 0.8193], [0.6672, 0.3376, 0.4830], [0.6252, 0.6626, 0.9172], [0.0370, 0.3750, 0.9161], [0.3683, 0.0331, 0.5831], [0.9912, 0.9991, 0.3554], [0.6675, 0.3339, 0.1748], [0.6651, 0.3327, 0.6792]]}

***

[2]
{"formula": "Sn7GeN6", "functional": "GGA-PBE", "state": "optimized geometry", "energy_ev_per_cell": -311.8, "sg": "No. 60", "magmom_total_mub_per_cell": 0.005, "lattice_angstrom": [[12.4005, 0.0000, 0.0000], [0.0000, 7.0196, 0.0000], [0.0000, 0.0000, 12.1896]], "species": ["Sn", "Sn", "Sn", "Sn", "Sn", "Sn", "Sn", "Sn", "Sn", "Sn", "Sn", "Sn", "Sn", "Sn", "Sn", "Sn", "Sn", "Sn", "Sn", "Sn", "Sn", "Sn", "Sn", "Sn", "Sn", "Sn", "Sn", "Sn", "Ge", "Ge", "Ge", "Ge", "N", "N", "N", "N", "N", "N", "N", "N", "N", "N", "N", "N", "N", "N", "N", "N", "N", "N", "N", "N", "N", "N", "N", "N"], "fractional_positions": [[0.2852, 0.6960, 0.1267], [0.0000, 0.5774, 0.2500], [0.7552, 0.0389, 0.6423], [0.7852, 0.1960, 0.3733], [0.4982, 0.7343, 0.5318], [0.2148, 0.8040, 0.6267], [0.5000, 0.9226, 0.7500], [0.7552, 0.9611, 0.1423], [0.2448, 0.0389, 0.8577], [0.2148, 0.1960, 0.1267], [0.5018, 0.2657, 0.4682], [0.7148, 0.6960, 0.3733], [0.9982, 0.2343, 0.9682], [0.0000, 0.4226, 0.7500], [0.2852, 0.3040, 0.6267], [0.4982, 0.2657, 0.0318], [0.2552, 0.5389, 0.8577], [0.2552, 0.4611, 0.3577], [0.0018, 0.7657, 0.0318], [0.7148, 0.3040, 0.8733], [0.7448, 0.5389, 0.6423], [0.0018, 0.2343, 0.5318], [0.5000, 0.0774, 0.2500], [0.7448, 0.4611, 0.1423], [0.5018, 0.7343, 0.9682], [0.7852, 0.8040, 0.8733], [0.9982, 0.7657, 0.4682], [0.2448, 0.9611, 0.3577], [0.5000, 0.3440, 0.7500], [0.0000, 0.8440, 0.7500], [0.0000, 0.1560, 0.2500], [0.5000, 0.6560, 0.2500], [0.1128, 0.3436, 0.2597], [0.9605, 0.9511, 0.8860], [0.6128, 0.1564, 0.7403], [0.4605, 0.4511, 0.6140], [0.8872, 0.6564, 0.7403], [0.3217, 0.2115, 0.4575], [0.6128, 0.8436, 0.2403], [0.5395, 0.4511, 0.8860], [0.5395, 0.5489, 0.3860], [0.0395, 0.9511, 0.6140], [0.8872, 0.3436, 0.2403], [0.3872, 0.8436, 0.2597], [0.4605, 0.5489, 0.1140], [0.0395, 0.0489, 0.1140], [0.6783, 0.7885, 0.5425], [0.9605, 0.0489, 0.3860], [0.3872, 0.1564, 0.7597], [0.6783, 0.2115, 0.0425], [0.1128, 0.6564, 0.7597], [0.1783, 0.2885, 0.9575], [0.1783, 0.7115, 0.4575], [0.8217, 0.7115, 0.0425], [0.8217, 0.2885, 0.5425], [0.3217, 0.7885, 0.9575]]}

***

[3]
{"formula": "Ho3ReB7", "functional": "GGA-PBE", "state": "optimized geometry", "energy_ev_per_cell": -159.8, "sg": "No. 63", "lattice_angstrom": [[1.7614, -7.8567, 0.0000], [1.7614, 7.8567, 0.0000], [0.0000, 0.0000, 9.3298]], "species": ["B", "B", "B", "B", "B", "B", "B", "B", "B", "B", "B", "B", "B", "B", "Ho", "Ho", "Ho", "Ho", "Ho", "Ho", "Re", "Re"], "fractional_positions": [[0.4795, 0.5205, 0.9049], [0.7272, 0.2728, 0.0335], [0.5205, 0.4795, 0.0951], [0.6322, 0.3678, 0.1505], [0.2728, 0.7272, 0.9665], [0.7272, 0.2728, 0.4665], [0.6322, 0.3678, 0.3495], [0.3678, 0.6322, 0.8495], [0.4565, 0.5435, 0.2500], [0.5205, 0.4795, 0.4049], [0.5435, 0.4565, 0.7500], [0.3678, 0.6322, 0.6505], [0.4795, 0.5205, 0.5951], [0.2728, 0.7272, 0.5335], [0.2427, 0.7573, 0.2500], [0.1055, 0.8945, 0.9400], [0.8945, 0.1055, 0.4400], [0.7573, 0.2427, 0.7500], [0.1055, 0.8945, 0.5600], [0.8945, 0.1055, 0.0600], [0.0526, 0.9474, 0.2500], [0.9474, 0.0526, 0.7500]]}

***

[4]
{"formula": "ZnCu2Ni", "functional": "GGA-PBE", "state": "optimized geometry", "energy_ev_per_cell": -15.7, "sg": "No. 123", "lattice_angstrom": [[-3.5613, -0.4133, -0.2662], [0.3305, -3.4541, 0.9405], [-0.3735, 0.9313, 3.5516]], "species": ["Ni", "Cu", "Cu", "Zn"], "fractional_positions": [[0.0000, 0.0000, 0.0000], [0.5000, 0.0000, 0.5000], [0.0000, 0.5000, 0.5000], [0.5000, 0.5000, 0.0000]]}

***

[5]
{"formula": "Nb3Br8", "functional": "GGA-PBE", "state": "optimized geometry", "energy_ev_per_cell": -107.2, "sg": "No. 166", "lattice_angstrom": [[-13.5315, 1.3611, -5.5181], [-12.5372, -5.7333, -5.0352], [-14.5222, -1.9839, 0.7574]], "species": ["Br", "Br", "Br", "Br", "Br", "Br", "Br", "Br", "Br", "Br", "Br", "Br", "Br", "Br", "Br", "Br", "Nb", "Nb", "Nb", "Nb", "Nb", "Nb"], "fractional_positions": [[0.2134, 0.7067, 0.7067], [0.8832, 0.8832, 0.3787], [0.3787, 0.8832, 0.8832], [0.3689, 0.3689, 0.3689], [0.1168, 0.6213, 0.1168], [0.7067, 0.7067, 0.2134], [0.1168, 0.1168, 0.6213], [0.8832, 0.3787, 0.8832], [0.2175, 0.2175, 0.2175], [0.7067, 0.2134, 0.7067], [0.6213, 0.1168, 0.1168], [0.6311, 0.6311, 0.6311], [0.2933, 0.2933, 0.7866], [0.7866, 0.2933, 0.2933], [0.2933, 0.7866, 0.2933], [0.7825, 0.7825, 0.7825], [0.5506, 0.5506, 0.1466], [0.4494, 0.8534, 0.4494], [0.8534, 0.4494, 0.4494], [0.1466, 0.5506, 0.5506], [0.5506, 0.1466, 0.5506], [0.4494, 0.4494, 0.8534]]}

***

[6]
{"formula": "Sb3P3O13", "functional": "GGA-PBE", "state": "optimized geometry", "energy_ev_per_cell": -252.8, "sg": "No. 11", "magmom_total_mub_per_cell": 0.000, "lattice_angstrom": [[-1.5121, -6.1994, 2.1049], [6.9139, -0.4510, 3.6384], [-4.1155, 4.3071, 9.7288]], "species": ["O", "O", "O", "O", "O", "O", "O", "O", "O", "O", "O", "O", "O", "O", "O", "O", "O", "O", "O", "O", "O", "O", "O", "O", "O", "O", "Sb", "Sb", "Sb", "Sb", "Sb", "Sb", "P", "P", "P", "P", "P", "P"], "fractional_positions": [[0.4382, 0.3567, 0.7910], [0.9418, 0.7653, 0.9054], [0.9337, 0.2199, 0.4529], [0.7500, 0.3111, 0.6298], [0.0618, 0.3567, 0.7910], [0.7500, 0.4817, 0.9456], [0.9382, 0.6433, 0.2090], [0.5582, 0.7653, 0.9054], [0.7500, 0.9952, 0.5874], [0.7500, 0.1279, 0.8871], [0.0582, 0.2347, 0.0946], [0.2500, 0.5183, 0.0544], [0.2500, 0.1691, 0.6497], [0.7500, 0.9098, 0.1337], [0.7500, 0.8309, 0.3503], [0.2500, 0.0048, 0.4126], [0.4418, 0.2347, 0.0946], [0.2500, 0.6889, 0.3702], [0.2500, 0.3950, 0.2509], [0.0663, 0.7801, 0.5471], [0.7500, 0.6050, 0.7491], [0.2500, 0.8721, 0.1129], [0.5663, 0.2199, 0.4529], [0.4337, 0.7801, 0.5471], [0.2500, 0.0902, 0.8663], [0.5618, 0.6433, 0.2090], [0.2500, 0.2508, 0.4690], [0.7500, 0.3490, 0.7989], [0.0000, 0.0000, 0.0000], [0.5000, 0.0000, 0.0000], [0.2500, 0.6510, 0.2011], [0.7500, 0.7492, 0.5310], [0.2500, 0.2452, 0.7714], [0.2500, 0.8197, 0.4722], [0.7500, 0.6684, 0.8815], [0.7500, 0.1803, 0.5278], [0.2500, 0.3316, 0.1185], [0.7500, 0.7548, 0.2286]]}

***

[7]
{"formula": "Na5SnAs3", "functional": "GGA-PBE", "state": "optimized geometry", "energy_ev_per_cell": -113.5, "sg": "No. 14", "lattice_angstrom": [[-7.5137, 1.0039, -1.3457], [-1.8000, -2.7872, 7.9712], [-0.8962, 10.1419, 12.5702]], "species": ["Na", "Na", "Na", "Na", "Na", "Na", "Na", "Na", "Na", "Na", "Na", "Na", "Na", "Na", "Na", "Na", "Na", "Na", "Na", "Na", "As", "As", "As", "As", "As", "As", "As", "As", "As", "As", "As", "As", "Sn", "Sn", "Sn", "Sn"], "fractional_positions": [[0.4591, 0.5886, 0.0890], [0.0244, 0.2523, 0.9138], [0.9756, 0.7477, 0.0862], [0.0053, 0.9075, 0.2585], [0.1409, 0.3137, 0.2568], [0.6409, 0.6863, 0.2432], [0.8591, 0.6863, 0.7432], [0.6599, 0.0072, 0.9174], [0.8401, 0.0072, 0.4174], [0.5409, 0.4114, 0.9110], [0.1599, 0.9928, 0.5826], [0.5053, 0.0925, 0.2415], [0.3401, 0.9928, 0.0826], [0.4756, 0.2523, 0.4138], [0.3591, 0.3137, 0.7568], [0.5244, 0.7477, 0.5862], [0.0409, 0.5886, 0.5890], [0.9947, 0.0925, 0.7415], [0.9591, 0.4114, 0.4110], [0.4947, 0.9075, 0.7585], [0.7521, 0.3629, 0.2391], [0.7307, 0.0603, 0.0829], [0.2939, 0.3307, 0.5713], [0.2061, 0.3307, 0.0713], [0.2479, 0.6371, 0.7609], [0.2521, 0.6371, 0.2609], [0.2693, 0.9397, 0.9171], [0.7061, 0.6693, 0.4287], [0.2307, 0.9397, 0.4171], [0.7939, 0.6693, 0.9287], [0.7479, 0.3629, 0.7391], [0.7693, 0.0603, 0.5829], [0.3530, 0.6605, 0.4099], [0.8530, 0.3395, 0.0901], [0.1470, 0.6605, 0.9099], [0.6470, 0.3395, 0.5901]]}

***

[8]
{"formula": "Sr2PrSnO6", "functional": "GGA-PBE", "state": "optimized geometry", "energy_ev_per_cell": -64.9, "sg": "No. 225", "relative_energy_ev_per_fu": 0.78, "magmom_total_mub_per_cell": 1.000, "lattice_angstrom": [[0.0000, -4.3547, -4.3547], [4.3547, 0.0000, -4.3547], [4.3547, -4.3547, 0.0000]], "species": ["O", "O", "O", "O", "O", "O", "Pr", "Sn", "Sr", "Sr"], "fractional_positions": [[0.2641, 0.7359, 0.7359], [0.7359, 0.7359, 0.2641], [0.2641, 0.7359, 0.2641], [0.2641, 0.2641, 0.7359], [0.7359, 0.2641, 0.2641], [0.7359, 0.2641, 0.7359], [0.0000, 0.0000, 0.0000], [0.5000, 0.5000, 0.5000], [0.7500, 0.7500, 0.7500], [0.2500, 0.2500, 0.2500]]}